# 1
DFT (r2SCAN) results for a geometry-optimized Rb2P2Pt structure.

Energy of formation in eV per atom: -0.64
Magnetic moment in μB/f.u.: 0.0

a b c (Å): 7.908 7.908 6.170
angles (deg): 90.00 90.00 131.00
Element x y z (fractional)
Rb 0.080 0.920 0.750
Rb 0.289 0.711 0.250
Rb 0.711 0.289 0.750
Rb 0.920 0.080 0.250
P 0.231 0.438 0.750
P 0.438 0.231 0.250
P 0.562 0.769 0.750
P 0.769 0.562 0.250
Pt 0.500 0.500 0.000
Pt 0.500 0.500 0.500

=====

# 2
DFT (r2SCAN) results for a geometry-optimized LuHCl structure.

Energy of formation in eV per atom: -1.56
Magnetic moment in μB/f.u.: 0.0

a b c (Å): 9.410 9.410 9.410
angles (deg): 22.21 22.21 22.21
Element x y z (fractional)
Lu 0.120 0.120 0.120
Lu 0.880 0.880 0.880
H 0.196 0.196 0.196
H 0.804 0.804 0.804
Cl 0.392 0.392 0.392
Cl 0.608 0.608 0.608

=====

# 3
DFT (r2SCAN) results for a geometry-optimized Rb3Br2Cl structure.

Energy of formation in eV per atom: -2.03
Magnetic moment in μB/f.u.: 0.0

a b c (Å): 10.789 10.789 10.789
angles (deg): 154.10 154.10 36.95
Element x y z (fractional)
Rb 0.000 0.000 0.000
Rb 0.336 0.336 0.000
Rb 0.664 0.664 0.000
Br 0.167 0.167 0.000
Br 0.833 0.833 0.000
Cl 0.500 0.500 0.000

=====

# 4
DFT (r2SCAN) results for a geometry-optimized Li2SmTl structure.

Energy of formation in eV per atom: -0.34
Magnetic moment in μB/f.u.: 0.0

a b c (Å): 4.872 4.872 4.872
angles (deg): 60.00 60.00 60.00
Element x y z (fractional)
Li 0.250 0.250 0.250
Li 0.750 0.750 0.750
Sm 0.000 0.000 0.000
Tl 0.500 0.500 0.500

=====

# 5
DFT (r2SCAN) results for a geometry-optimized YbCoC2 structure.

Energy of formation in eV per atom: -0.43
Magnetic moment in μB/f.u.: 0.0

a b c (Å): 3.442 3.702 3.702
angles (deg): 73.91 90.00 90.00
Element x y z (fractional)
Yb 0.000 0.000 0.000
Co 0.500 0.617 0.617
C 0.500 0.152 0.461
C 0.500 0.461 0.152

=====

# 6
DFT (r2SCAN) results for a geometry-optimized Sc25InIr7 structure.

Energy of formation in eV per atom: -0.65
Magnetic moment in μB/f.u.: 0.0

a b c (Å): 12.489 12.489 12.489
angles (deg): 60.00 60.00 60.00
Element x y z (fractional)
Sc 0.010 0.507 0.676
Sc 0.010 0.676 0.807
Sc 0.010 0.807 0.507
Sc 0.090 0.090 0.090
Sc 0.090 0.090 0.729
Sc 0.090 0.729 0.090
Sc 0.193 0.324 0.493
Sc 0.193 0.493 0.990
Sc 0.193 0.990 0.324
Sc 0.213 0.213 0.787
Sc 0.213 0.787 0.213
Sc 0.213 0.787 0.787
Sc 0.268 0.448 0.732
Sc 0.268 0.552 0.448
Sc 0.268 0.732 0.552
Sc 0.271 0.910 0.910
Sc 0.324 0.193 0.990
Sc 0.324 0.493 0.193
Sc 0.324 0.990 0.493
Sc 0.448 0.268 0.552
Sc 0.448 0.552 0.732
Sc 0.448 0.732 0.268
Sc 0.493 0.193 0.324
Sc 0.493 0.324 0.990
Sc 0.493 0.990 0.193
Sc 0.507 0.010 0.807
Sc 0.507 0.676 0.010
Sc 0.507 0.807 0.676
Sc 0.552 0.268 0.732
Sc 0.552 0.448 0.268
Sc 0.552 0.732 0.448
Sc 0.676 0.010 0.507
Sc 0.676 0.507 0.807
Sc 0.676 0.807 0.010
Sc 0.729 0.090 0.090
Sc 0.732 0.268 0.448
Sc 0.732 0.448 0.552
Sc 0.732 0.552 0.268
Sc 0.787 0.213 0.213
Sc 0.787 0.213 0.787
Sc 0.787 0.787 0.213
Sc 0.807 0.010 0.676
Sc 0.807 0.507 0.010
Sc 0.807 0.676 0.507
Sc 0.910 0.271 0.910
Sc 0.910 0.910 0.271
Sc 0.910 0.910 0.910
Sc 0.990 0.193 0.493
Sc 0.990 0.324 0.193
Sc 0.990 0.493 0.324
In 0.250 0.250 0.250
In 0.750 0.750 0.750
Ir 0.000 0.000 0.000
Ir 0.062 0.367 0.938
Ir 0.062 0.633 0.367
Ir 0.062 0.938 0.633
Ir 0.367 0.062 0.633
Ir 0.367 0.633 0.938
Ir 0.367 0.938 0.062
Ir 0.500 0.500 0.500
Ir 0.633 0.062 0.938
Ir 0.633 0.367 0.062
Ir 0.633 0.938 0.367
Ir 0.938 0.062 0.367
Ir 0.938 0.367 0.633
Ir 0.938 0.633 0.062

=====

# 7
DFT (r2SCAN) results for a geometry-optimized K3Bi2I9 structure.

Energy of formation in eV per atom: -1.03
Magnetic moment in μB/f.u.: 0.0

a b c (Å): 8.538 8.538 21.343
angles (deg): 93.01 93.01 122.27
Element x y z (fractional)
K 0.050 0.950 0.750
K 0.251 0.704 0.434
K 0.296 0.749 0.066
K 0.704 0.251 0.934
K 0.749 0.296 0.566
K 0.950 0.050 0.250
Bi 0.288 0.614 0.844
Bi 0.386 0.712 0.656
Bi 0.614 0.288 0.344
Bi 0.712 0.386 0.156
I 0.005 0.499 0.282
I 0.057 0.723 0.915
I 0.088 0.231 0.886
I 0.231 0.088 0.386
I 0.231 0.413 0.551
I 0.277 0.943 0.585
I 0.413 0.231 0.051
I 0.498 0.502 0.750
I 0.499 0.005 0.782
I 0.501 0.995 0.218
I 0.502 0.498 0.250
I 0.587 0.769 0.949
I 0.723 0.057 0.415
I 0.769 0.587 0.449
I 0.769 0.912 0.614
I 0.912 0.769 0.114
I 0.943 0.277 0.085
I 0.995 0.501 0.718

=====

# 8
DFT (r2SCAN) results for a geometry-optimized DyGa3Ru structure.

Energy of formation in eV per atom: -0.64
Magnetic moment in μB/f.u.: 0.0

a b c (Å): 6.377 6.377 6.377
angles (deg): 90.00 90.00 90.00
Element x y z (fractional)
Dy 0.000 0.000 0.500
Dy 0.000 0.500 0.000
Dy 0.500 0.000 0.000
Ga 0.000 0.000 0.000
Ga 0.291 0.291 0.291
Ga 0.291 0.291 0.709
Ga 0.291 0.709 0.291
Ga 0.291 0.709 0.709
Ga 0.709 0.291 0.291
Ga 0.709 0.291 0.709
Ga 0.709 0.709 0.291
Ga 0.709 0.709 0.709
Ru 0.000 0.500 0.500
Ru 0.500 0.000 0.500
Ru 0.500 0.500 0.000